# 1
VASP calculation (PBE) on a relaxed NaScP2O7 crystal.

a b c (Å): 5.3628 8.9678 13.5663
angles (deg): 64.19 90.00 90.00
Closest atoms and distances in Å follow each position.
Positions (direct):
Na: 0.7310 0.4507 0.6898  7 O 2.53-2.77
Na: 0.7690 0.4507 0.1898  7 O 2.53-2.77
Na: 0.2690 0.5493 0.3102  7 O 2.53-2.77
Na: 0.2310 0.5493 0.8102  7 O 2.53-2.77
Sc: 0.7616 0.2601 0.9725  6 O 2.03-2.17
Sc: 0.7384 0.2601 0.4725  6 O 2.03-2.17
Sc: 0.2384 0.7399 0.0275  6 O 2.03-2.17
Sc: 0.2616 0.7399 0.5275  6 O 2.03-2.17
P: 0.7238 0.6811 0.8835  4 O 1.52-1.63
P: 0.7762 0.6811 0.3835  4 O 1.52-1.63
P: 0.2762 0.3189 0.1165  4 O 1.52-1.63
P: 0.2238 0.3189 0.6165  4 O 1.52-1.63
P: 0.7541 0.8317 0.1470  4 O 1.51-1.63
P: 0.7459 0.8317 0.6470  4 O 1.51-1.63
P: 0.2459 0.1683 0.8530  4 O 1.51-1.63
P: 0.2541 0.1683 0.3530  4 O 1.51-1.63
O: 0.9952 0.2547 0.8469  1 P 1.54
O: 0.5048 0.2547 0.3469  1 P 1.54
O: 0.0048 0.7453 0.1531  1 P 1.54
O: 0.4952 0.7453 0.6531  1 P 1.54
O: 0.4620 0.2722 0.8652  1 P 1.54
O: 0.0380 0.2722 0.3652  1 P 1.54
O: 0.5380 0.7278 0.1348  1 P 1.54
O: 0.9620 0.7278 0.6348  1 P 1.54
O: 0.7458 0.0114 0.0636  1 P 1.51
O: 0.7542 0.0114 0.5636  1 P 1.51
O: 0.2542 0.9886 0.9364  1 P 1.51
O: 0.2458 0.9886 0.4364  1 P 1.51
O: 0.7728 0.5240 0.8673  1 P 1.54
O: 0.7272 0.5240 0.3673  1 P 1.54
O: 0.2272 0.4760 0.1327  1 P 1.54
O: 0.2728 0.4760 0.6327  1 P 1.54
O: 0.7189 0.8346 0.2652  2 P 1.63
O: 0.7811 0.8346 0.7652  2 P 1.63
O: 0.2811 0.1654 0.7348  2 P 1.63
O: 0.2189 0.1654 0.2348  2 P 1.63
O: 0.9053 0.7022 0.9622  1 P 1.52
O: 0.5947 0.7022 0.4622  1 P 1.52
O: 0.0947 0.2978 0.0378  1 P 1.52
O: 0.4053 0.2978 0.5378  1 P 1.52
O: 0.4498 0.6910 0.9123  1 P 1.53
O: 0.0502 0.6910 0.4123  1 P 1.53
O: 0.5502 0.3090 0.0877  1 P 1.53
O: 0.9498 0.3090 0.5877  1 P 1.53

Output
Final energy, eV per atom: -7.456
Total energy after the MP2020 corrections, eV/atom: -7.893



# 2
VASP calculation (PBE) on a relaxed Na3ScSiSnP2O12 crystal.

a b c (Å): 15.6793 9.0721 9.0818
angles (deg): 90.00 125.17 90.00
Closest atoms and distances in Å follow each position.
Positions (direct):
Na: 0.2521 0.7249 0.9981  4 O 2.35-2.58
Na: 0.7521 0.7751 0.4981  4 O 2.35-2.58
Na: 0.7521 0.2249 0.9981  4 O 2.35-2.58
Na: 0.2521 0.2751 0.4981  4 O 2.35-2.58
Na: 0.5068 0.1060 0.7631  5 O 2.39-2.58
Na: 0.5068 0.8940 0.2631  5 O 2.39-2.58
Na: 0.0068 0.6060 0.7631  5 O 2.39-2.58
Na: 0.0068 0.3940 0.2631  5 O 2.39-2.58
Na: 0.1838 0.9309 0.2893  4 O 2.42-2.48
Na: 0.1838 0.0691 0.7893  4 O 2.42-2.48
Na: 0.6838 0.4309 0.2893  4 O 2.42-2.48
Na: 0.6838 0.5691 0.7893  4 O 2.42-2.48
Sc: 0.1058 0.7442 0.5641  5 O 1.94-2.16
Sc: 0.1058 0.2558 0.0641  5 O 1.94-2.16
Sc: 0.6058 0.2442 0.5641  5 O 1.94-2.16
Sc: 0.6058 0.7558 0.0641  5 O 1.94-2.16
Si: 0.6484 0.8932 0.7472  4 O 1.62-1.67
Si: 0.6484 0.1068 0.2472  4 O 1.62-1.67
Si: 0.1484 0.3932 0.7472  4 O 1.62-1.67
Si: 0.1484 0.6068 0.2472  4 O 1.62-1.67
Sn: 0.8984 0.7567 0.9448  6 O 2.03-2.17
Sn: 0.8984 0.2433 0.4448  6 O 2.03-2.17
Sn: 0.3984 0.2567 0.9448  6 O 2.03-2.17
Sn: 0.3984 0.7433 0.4448  6 O 2.03-2.17
P: 0.9972 0.9546 0.7547  4 O 1.53-1.56
P: 0.9972 0.0454 0.2547  4 O 1.53-1.56
P: 0.4972 0.4546 0.7547  4 O 1.53-1.56
P: 0.4972 0.5454 0.2547  4 O 1.53-1.56
P: 0.3534 0.9018 0.7568  4 O 1.52-1.58
P: 0.3534 0.0982 0.2568  4 O 1.52-1.58
P: 0.8534 0.4018 0.7568  4 O 1.52-1.58
P: 0.8534 0.5982 0.2568  4 O 1.52-1.58
O: 0.1517 0.5720 0.7445  1 Si 1.62
O: 0.8497 0.5753 0.7572  1 P 1.58
O: 0.8497 0.4247 0.2572  1 P 1.58
O: 0.1517 0.4280 0.2445  1 Si 1.62
O: 0.6517 0.0720 0.7445  1 Si 1.62
O: 0.3497 0.0753 0.7572  1 P 1.58
O: 0.3497 0.9247 0.2572  1 P 1.58
O: 0.6517 0.9280 0.2445  1 Si 1.62
O: 0.4301 0.5498 0.5811  1 P 1.56
O: 0.5592 0.5495 0.9245  1 P 1.53
O: 0.5592 0.4505 0.4245  1 P 1.53
O: 0.4301 0.4502 0.0811  1 P 1.56
O: 0.9301 0.0498 0.5811  1 P 1.56
O: 0.0592 0.0495 0.9245  1 P 1.53
O: 0.0592 0.9505 0.4245  1 P 1.53
O: 0.9301 0.9502 0.0811  1 P 1.56
O: 0.2569 0.8462 0.7456  1 P 1.54
O: 0.7458 0.8093 0.7590  1 Si 1.65
O: 0.7458 0.1907 0.2590  1 Si 1.65
O: 0.2569 0.1538 0.2456  1 P 1.54
O: 0.7569 0.3462 0.7456  1 P 1.54
O: 0.2458 0.3093 0.7590  1 Si 1.65
O: 0.2458 0.6907 0.2590  1 Si 1.65
O: 0.7569 0.6538 0.2456  1 P 1.54
O: 0.3491 0.8690 0.5819  1 P 1.58
O: 0.6407 0.8401 0.9088  1 Si 1.62
O: 0.6407 0.1599 0.4088  1 Si 1.62
O: 0.3491 0.1310 0.0819  1 P 1.58
O: 0.8491 0.3690 0.5819  1 P 1.58
O: 0.1407 0.3401 0.9088  1 Si 1.62
O: 0.1407 0.6599 0.4088  1 Si 1.62
O: 0.8491 0.6310 0.0819  1 P 1.58
O: 0.4531 0.8434 0.9255  1 P 1.52
O: 0.5438 0.8256 0.5573  1 Si 1.67
O: 0.5438 0.1744 0.0573  1 Si 1.67
O: 0.4531 0.1566 0.4255  1 P 1.52
O: 0.9531 0.3434 0.9255  1 P 1.52
O: 0.0438 0.3256 0.5573  1 Si 1.67
O: 0.0438 0.6744 0.0573  1 Si 1.67
O: 0.9531 0.6566 0.4255  1 P 1.52
O: 0.0759 0.8590 0.7456  1 P 1.55
O: 0.9180 0.8473 0.7509  1 P 1.56
O: 0.9180 0.1527 0.2509  1 P 1.56
O: 0.0759 0.1410 0.2456  1 P 1.55
O: 0.5759 0.3590 0.7456  1 P 1.55
O: 0.4180 0.3473 0.7509  1 P 1.56
O: 0.4180 0.6527 0.2509  1 P 1.56
O: 0.5759 0.6410 0.2456  1 P 1.55

Output
Final energy, eV per atom: -6.894
Total energy after the MP2020 corrections, eV/atom: -7.306



# 3
VASP calculation (PBE) on a relaxed Na5Sc2SiSn2P5O24 crystal.

a b c (Å): 8.9809 8.9639 22.6553
angles (deg): 90.03 89.87 120.07
Closest atoms and distances in Å follow each position.
Positions (direct):
Na: 0.0036 0.6385 0.2513  5 O 2.40-2.68
Na: 0.6310 0.6406 0.7514  4 O 2.39-2.56
Na: 0.3709 0.9977 0.7509  6 O 2.44-2.69
Na: 0.6632 0.9699 0.5850  5 O 2.37-2.64
Na: 0.2969 0.9685 0.0824  5 O 2.41-2.67
Na: 0.6756 0.6989 0.0817  6 O 2.45-2.69
Na: 0.0285 0.3322 0.0837  6 O 2.45-2.69
Na: 0.9669 0.2998 0.4160  4 O 2.40-2.50
Na: 0.3352 0.0341 0.4181  5 O 2.42-2.61
Na: 0.0038 0.9904 0.5009  6 O 2.45-2.66
Na: 0.9998 0.9958 0.9962  6 O 2.46-2.73
Na: 0.6777 0.3296 0.8380  5 O 2.46-2.71
Na: 0.6582 0.3356 0.3341  6 O 2.52-2.64
Na: 0.3399 0.6664 0.1714  6 O 2.47-2.68
Na: 0.3187 0.6559 0.6673  6 O 2.53-2.63
Sc: 0.9947 0.9955 0.3498  6 O 2.04-2.19
Sc: 0.9996 0.9984 0.1510  6 O 2.04-2.18
Sc: 0.6708 0.3395 0.9778  6 O 1.99-2.14
Sc: 0.6606 0.3365 0.4834  6 O 1.98-2.19
Sc: 0.3408 0.6666 0.3141  6 O 2.01-2.16
Sc: 0.3315 0.6657 0.8153  6 O 2.03-2.15
Si: 0.7112 0.0047 0.7491  4 O 1.62-1.65
Si: 0.3668 0.0364 0.5823  4 O 1.62-1.66
Si: 0.9613 0.6269 0.0828  4 O 1.60-1.67
Sn: 0.9980 0.0023 0.8531  6 O 1.98-2.10
Sn: 0.0041 0.0016 0.6475  6 O 2.01-2.13
Sn: 0.6704 0.3304 0.6834  6 O 2.02-2.15
Sn: 0.6661 0.3302 0.1846  6 O 2.04-2.11
Sn: 0.3299 0.6665 0.0128  6 O 2.04-2.18
Sn: 0.3316 0.6652 0.5189  6 O 2.04-2.13
P: 0.2989 0.0041 0.2500  4 O 1.54-1.56
P: 0.7034 0.7023 0.2481  4 O 1.52-1.58
P: 0.9972 0.2950 0.2497  4 O 1.54-1.58
P: 0.2914 0.2911 0.7495  4 O 1.53-1.58
P: 0.9976 0.7078 0.7498  4 O 1.53-1.56
P: 0.9627 0.3358 0.5820  4 O 1.53-1.56
P: 0.6664 0.6267 0.5845  4 O 1.52-1.56
P: 0.6646 0.0405 0.0819  4 O 1.51-1.58
P: 0.3765 0.3352 0.0823  4 O 1.52-1.58
P: 0.6296 0.6690 0.9155  4 O 1.53-1.59
P: 0.0395 0.3689 0.9162  4 O 1.52-1.59
P: 0.3303 0.9637 0.9147  4 O 1.52-1.59
P: 0.6276 0.9584 0.4175  4 O 1.53-1.57
P: 0.3338 0.3755 0.4163  4 O 1.52-1.57
P: 0.0412 0.6667 0.4153  4 O 1.54-1.57
O: 0.2146 0.0282 0.3057  1 P 1.54
O: 0.8237 0.7893 0.3011  1 P 1.54
O: 0.9745 0.1868 0.3053  1 P 1.54
O: 0.2158 0.1697 0.8036  1 P 1.55
O: 0.9591 0.7866 0.8046  1 P 1.55
O: 0.8323 0.0364 0.8060  1 Si 1.62
O: 0.7891 0.9627 0.6893  1 Si 1.65
O: 0.1820 0.2112 0.6940  1 P 1.54
O: 0.0380 0.8254 0.6950  1 P 1.55
O: 0.7852 0.8048 0.1909  1 P 1.54
O: 0.0177 0.2117 0.1932  1 P 1.54
O: 0.1882 0.9770 0.1943  1 P 1.55
O: 0.8845 0.3699 0.6380  1 P 1.55
O: 0.4892 0.1167 0.6419  1 Si 1.66
O: 0.6400 0.5237 0.6429  1 P 1.56
O: 0.8873 0.5068 0.1436  1 Si 1.67
O: 0.6182 0.1107 0.1382  1 P 1.57
O: 0.4910 0.3746 0.1386  1 P 1.56
O: 0.4563 0.2971 0.0296  1 P 1.52
O: 0.8311 0.5345 0.0293  1 Si 1.60
O: 0.6956 0.1564 0.0293  1 P 1.51
O: 0.4557 0.1490 0.5236  1 Si 1.62
O: 0.6940 0.5404 0.5314  1 P 1.52
O: 0.8521 0.3050 0.5268  1 P 1.53
O: 0.5501 0.6987 0.9741  1 P 1.59
O: 0.1441 0.4434 0.9759  1 P 1.59
O: 0.2989 0.8548 0.9735  1 P 1.59
O: 0.5515 0.8523 0.4757  1 P 1.57
O: 0.2961 0.4538 0.4725  1 P 1.57
O: 0.1607 0.7035 0.4703  1 P 1.57
O: 0.1235 0.6376 0.3599  1 P 1.54
O: 0.5067 0.8695 0.3655  1 P 1.53
O: 0.3570 0.4875 0.3627  1 P 1.52
O: 0.1344 0.4846 0.8641  1 P 1.52
O: 0.3504 0.8734 0.8605  1 P 1.53
O: 0.5211 0.6511 0.8612  1 P 1.53
O: 0.0294 0.8323 0.4105  1 P 1.54
O: 0.8100 0.9842 0.4113  1 P 1.54
O: 0.1696 0.1938 0.4117  1 P 1.56
O: 0.0279 0.1898 0.9132  1 P 1.56
O: 0.1632 0.9759 0.9109  1 P 1.56
O: 0.8110 0.8334 0.9131  1 P 1.56
O: 0.9684 0.1655 0.5885  1 P 1.56
O: 0.1769 0.0176 0.5878  1 Si 1.63
O: 0.8243 0.8123 0.5883  1 P 1.56
O: 0.9874 0.8203 0.0894  1 Si 1.64
O: 0.8246 0.0215 0.0901  1 P 1.54
O: 0.1935 0.1802 0.0906  1 P 1.54
O: 0.6844 0.1739 0.7455  1 Si 1.65
O: 0.4757 0.3121 0.7435  1 P 1.58
O: 0.8276 0.5318 0.7425  1 P 1.56
O: 0.6946 0.5222 0.2447  1 P 1.58
O: 0.8319 0.3142 0.2468  1 P 1.58
O: 0.4799 0.1684 0.2445  1 P 1.56
O: 0.6432 0.5066 0.9207  1 P 1.53
O: 0.8615 0.3501 0.9215  1 P 1.53
O: 0.4904 0.1402 0.9211  1 P 1.52
O: 0.6452 0.1401 0.4221  1 P 1.56
O: 0.4915 0.3516 0.4213  1 P 1.54
O: 0.8656 0.5015 0.4228  1 P 1.54
O: 0.3624 0.5028 0.0762  1 P 1.58
O: 0.1554 0.6453 0.0768  1 Si 1.67
O: 0.5025 0.8547 0.0759  1 P 1.58
O: 0.3605 0.8480 0.5786  1 Si 1.66
O: 0.5046 0.6476 0.5790  1 P 1.56
O: 0.1458 0.4932 0.5775  1 P 1.54
O: 0.3104 0.8381 0.2548  1 P 1.55
O: 0.5252 0.6819 0.2544  1 P 1.52
O: 0.1536 0.4797 0.2542  1 P 1.55
O: 0.3164 0.4720 0.7562  1 P 1.53
O: 0.1569 0.6894 0.7564  1 P 1.53
O: 0.5189 0.8327 0.7544  1 Si 1.64

Output
Final energy, eV per atom: -6.963
Total energy after the MP2020 corrections, eV/atom: -7.386



# 4
VASP calculation (PBE) on a relaxed Na3ScSiSnP2O12 crystal.

a b c (Å): 9.0594 9.0594 22.4021
angles (deg): 90.27 89.73 119.98
Closest atoms and distances in Å follow each position.
Positions (direct):
Na: 0.0024 0.9936 0.4977  6 O 2.42-2.64
Na: 0.0064 0.9976 0.9977  6 O 2.42-2.64
Na: 0.6665 0.3252 0.8313  6 O 2.40-2.62
Na: 0.6748 0.3335 0.3313  6 O 2.40-2.62
Na: 0.3516 0.6754 0.1641  6 O 2.53-2.62
Na: 0.3246 0.6484 0.6641  6 O 2.53-2.62
Na: 0.3615 0.3606 0.2471  6 O 2.43-2.62
Na: 0.9954 0.6282 0.2487  4 O 2.35-2.57
Na: 0.6394 0.6385 0.7471  6 O 2.43-2.62
Na: 0.3718 0.0046 0.7487  4 O 2.35-2.57
Na: 0.0376 0.7001 0.5799  5 O 2.44-2.55
Na: 0.6541 0.9636 0.5857  6 O 2.42-2.67
Na: 0.2999 0.9624 0.0799  5 O 2.44-2.55
Na: 0.0364 0.3459 0.0857  6 O 2.42-2.67
Na: 0.9738 0.6749 0.9197  5 O 2.40-2.55
Na: 0.6969 0.0271 0.9108  5 O 2.43-2.65
Na: 0.9729 0.3031 0.4108  5 O 2.43-2.65
Na: 0.3251 0.0262 0.4197  5 O 2.40-2.55
Sc: 0.9905 0.9927 0.3526  6 O 2.02-2.23
Sc: 0.0073 0.0095 0.8526  6 O 2.02-2.23
Sc: 0.6684 0.3263 0.6863  6 O 1.98-2.19
Sc: 0.6737 0.3316 0.1863  6 O 1.98-2.19
Sc: 0.3339 0.6680 0.0189  6 O 2.00-2.19
Sc: 0.3320 0.6661 0.5189  6 O 2.00-2.19
Si: 0.0019 0.2965 0.2523  4 O 1.61-1.68
Si: 0.7035 0.9981 0.7523  4 O 1.61-1.68
Si: 0.3670 0.0394 0.5840  4 O 1.62-1.66
Si: 0.9606 0.6330 0.0840  4 O 1.62-1.66
Si: 0.3368 0.9682 0.9187  4 O 1.62-1.68
Si: 0.0318 0.6632 0.4187  4 O 1.62-1.68
Sn: 0.0054 0.0084 0.6498  6 O 2.02-2.16
Sn: 0.9916 0.9946 0.1498  6 O 2.02-2.16
Sn: 0.6631 0.3376 0.9831  6 O 2.02-2.18
Sn: 0.6624 0.3369 0.4831  6 O 2.02-2.18
Sn: 0.3309 0.6646 0.3165  6 O 2.03-2.13
Sn: 0.3354 0.6691 0.8165  6 O 2.03-2.13
P: 0.2926 0.9960 0.2514  4 O 1.53-1.58
P: 0.7005 0.7067 0.2505  4 O 1.52-1.56
P: 0.2933 0.2995 0.7505  4 O 1.52-1.56
P: 0.0040 0.7074 0.7514  4 O 1.53-1.58
P: 0.9578 0.3284 0.5821  4 O 1.52-1.57
P: 0.6703 0.6303 0.5873  4 O 1.52-1.58
P: 0.6716 0.0422 0.0821  4 O 1.52-1.57
P: 0.3697 0.3297 0.0873  4 O 1.52-1.58
P: 0.6249 0.6604 0.9151  4 O 1.53-1.57
P: 0.0378 0.3744 0.9191  4 O 1.53-1.57
P: 0.6256 0.9622 0.4191  4 O 1.53-1.57
P: 0.3396 0.3751 0.4151  4 O 1.53-1.57
O: 0.2032 0.0160 0.3064  1 P 1.53
O: 0.8188 0.7919 0.3034  1 P 1.52
O: 0.9881 0.1886 0.3111  1 Si 1.61
O: 0.2081 0.1812 0.8034  1 P 1.52
O: 0.9840 0.7968 0.8064  1 P 1.53
O: 0.8114 0.0119 0.8111  1 Si 1.61
O: 0.7887 0.9629 0.6914  1 Si 1.67
O: 0.1886 0.2240 0.6921  1 P 1.56
O: 0.0420 0.8224 0.6942  1 P 1.58
O: 0.7760 0.8114 0.1921  1 P 1.56
O: 0.0371 0.2113 0.1914  1 Si 1.67
O: 0.1776 0.9580 0.1942  1 P 1.58
O: 0.8689 0.3586 0.6348  1 P 1.52
O: 0.4861 0.1321 0.6413  1 Si 1.62
O: 0.6541 0.5310 0.6438  1 P 1.52
O: 0.8679 0.5139 0.1413  1 Si 1.62
O: 0.6414 0.1311 0.1348  1 P 1.52
O: 0.4690 0.3459 0.1438  1 P 1.52
O: 0.4503 0.2902 0.0316  1 P 1.57
O: 0.8509 0.5499 0.0217  1 Si 1.66
O: 0.7047 0.1509 0.0238  1 P 1.57
O: 0.4501 0.1491 0.5217  1 Si 1.66
O: 0.7098 0.5497 0.5316  1 P 1.57
O: 0.8491 0.2953 0.5238  1 P 1.57
O: 0.5279 0.6806 0.9673  1 P 1.53
O: 0.1384 0.4561 0.9764  1 P 1.53
O: 0.3113 0.8494 0.9764  1 Si 1.63
O: 0.5439 0.8616 0.4764  1 P 1.53
O: 0.3194 0.4721 0.4673  1 P 1.53
O: 0.1506 0.6887 0.4764  1 Si 1.63
O: 0.1136 0.6229 0.3577  1 Si 1.68
O: 0.5083 0.8753 0.3639  1 P 1.56
O: 0.3677 0.4752 0.3553  1 P 1.57
O: 0.1247 0.4917 0.8639  1 P 1.56
O: 0.3771 0.8864 0.8577  1 Si 1.68
O: 0.5248 0.6323 0.8553  1 P 1.57
O: 0.0230 0.8371 0.4132  1 Si 1.62
O: 0.8074 0.9933 0.4130  1 P 1.53
O: 0.1780 0.1970 0.4124  1 P 1.55
O: 0.0067 0.1926 0.9130  1 P 1.53
O: 0.1629 0.9770 0.9132  1 Si 1.62
O: 0.8030 0.8220 0.9124  1 P 1.55
O: 0.9636 0.1597 0.5878  1 P 1.56
O: 0.1713 0.0095 0.5877  1 Si 1.66
O: 0.8348 0.8125 0.5886  1 P 1.58
O: 0.9905 0.8287 0.0877  1 Si 1.66
O: 0.8403 0.0364 0.0878  1 P 1.56
O: 0.1875 0.1652 0.0886  1 P 1.58
O: 0.6708 0.1589 0.7482  1 Si 1.63
O: 0.4748 0.3254 0.7450  1 P 1.55
O: 0.8408 0.5350 0.7451  1 P 1.53
O: 0.6746 0.5252 0.2450  1 P 1.55
O: 0.8411 0.3292 0.2482  1 Si 1.63
O: 0.4650 0.1592 0.2451  1 P 1.53
O: 0.6524 0.5039 0.9194  1 P 1.56
O: 0.8592 0.3642 0.9202  1 P 1.57
O: 0.5165 0.1537 0.9227  1 Si 1.66
O: 0.6358 0.1408 0.4202  1 P 1.57
O: 0.4961 0.3476 0.4194  1 P 1.56
O: 0.8463 0.4835 0.4227  1 Si 1.66
O: 0.3444 0.4842 0.0796  1 P 1.54
O: 0.1507 0.6512 0.0808  1 Si 1.65
O: 0.5149 0.8635 0.0769  1 P 1.53
O: 0.3488 0.8493 0.5808  1 Si 1.65
O: 0.5158 0.6556 0.5796  1 P 1.54
O: 0.1365 0.4851 0.5769  1 P 1.53
O: 0.3105 0.8334 0.2554  1 P 1.56
O: 0.5209 0.6889 0.2563  1 P 1.56
O: 0.1810 0.4875 0.2523  1 Si 1.68
O: 0.3111 0.4791 0.7563  1 P 1.56
O: 0.1666 0.6895 0.7554  1 P 1.56
O: 0.5125 0.8190 0.7523  1 Si 1.68

Output
Final energy, eV per atom: -6.895
Total energy after the MP2020 corrections, eV/atom: -7.307



These records have total moment values of 0.00, 0.00, 0.00, 0.00 μB/cell, in the order they appear.
These records have density values of 2.7, 3.2, 3.2, 3.2 Mg/m³, in the order they appear.
These records have energy of formation values of -3.064, -2.810, -2.808, -2.810 eV/atom, in the order they appear.